[1]
Entry from the Materials Project database: a relaxed structure of Nd2UTe5 (PBE).

Properties
SG = Pmm2, No. 25
formation energy from the elements = -1.373 eV per atom

POSCAR file:
```
Nd2UTe5
1.0
4.407 0.000 0.000
0.000 4.421 0.000
0.000 0.000 26.891
Nd U Te
4 2 10
Direct
0.000 0.000 0.000
0.000 0.000 0.331
0.000 0.000 0.663
0.500 0.500 0.157
0.500 0.500 0.488
0.500 0.500 0.820
0.000 0.000 0.123
0.000 0.000 0.457
0.000 0.000 0.788
0.000 0.500 0.907
0.500 0.000 0.244
0.500 0.000 0.575
0.500 0.000 0.907
0.500 0.500 0.034
0.500 0.500 0.366
0.500 0.500 0.699
```



[2]
Entry from the Materials Project database: a relaxed structure of SiO2 (PBE).

Properties
SG = P622, No. 177
formation energy from the elements = -2.382 eV per atom

POSCAR file:
```
SiO2
1.0
13.160 0.000 0.000
-6.580 11.397 0.000
0.000 0.000 3.889
Si O
12 24
Direct
0.131 0.480 0.344
0.131 0.651 0.656
0.349 0.480 0.656
0.349 0.869 0.344
0.480 0.131 0.656
0.480 0.349 0.344
0.520 0.651 0.344
0.520 0.869 0.656
0.651 0.131 0.344
0.651 0.520 0.656
0.869 0.349 0.656
0.869 0.520 0.344
0.000 0.385 0.500
0.000 0.615 0.500
0.105 0.553 0.000
0.207 0.414 0.500
0.207 0.793 0.500
0.216 0.608 0.500
0.385 0.000 0.500
0.385 0.385 0.500
0.392 0.608 0.500
0.392 0.784 0.500
0.414 0.207 0.500
0.447 0.553 0.000
0.447 0.895 0.000
0.553 0.105 0.000
0.553 0.447 0.000
0.586 0.793 0.500
0.608 0.216 0.500
0.608 0.392 0.500
0.615 0.000 0.500
0.615 0.615 0.500
0.784 0.392 0.500
0.793 0.207 0.500
0.793 0.586 0.500
0.895 0.447 0.000
```



[3]
Entry from the Materials Project database: a relaxed structure of HoB6O12 (PBE).

Properties
SG = R3c, No. 161
formation energy from the elements = -2.652 eV per atom

POSCAR file:
```
HoB6O12
1.0
4.244 2.450 6.944
-4.244 2.450 6.944
0.000 -4.900 6.944
Ho B O
2 12 24
Direct
0.000 0.000 0.000
0.500 0.500 0.500
0.089 0.372 0.786
0.116 0.894 0.384
0.286 0.872 0.589
0.372 0.786 0.089
0.384 0.116 0.894
0.394 0.616 0.884
0.589 0.286 0.872
0.616 0.884 0.394
0.786 0.089 0.372
0.872 0.589 0.286
0.884 0.394 0.616
0.894 0.384 0.116
0.108 0.992 0.690
0.169 0.858 0.219
0.190 0.492 0.608
0.219 0.169 0.858
0.261 0.829 0.454
0.329 0.761 0.954
0.358 0.669 0.719
0.429 0.966 0.492
0.454 0.261 0.829
0.466 0.929 0.992
0.492 0.429 0.966
0.492 0.608 0.190
0.608 0.190 0.492
0.669 0.719 0.358
0.690 0.108 0.992
0.719 0.358 0.669
0.761 0.954 0.329
0.829 0.454 0.261
0.858 0.219 0.169
0.929 0.992 0.466
0.954 0.329 0.761
0.966 0.492 0.429
0.992 0.466 0.929
0.992 0.690 0.108
```



[4]
Entry from the Materials Project database: a relaxed structure of SiO2 (PBE).

Properties
SG = P4_32_12, No. 96
formation energy from the elements = -3.254 eV per atom
largest piezoelectric modulus = 0.0 C/m²

POSCAR file:
```
SiO2
1.0
7.594 0.000 0.000
0.000 7.594 0.000
0.000 0.000 8.778
Si O
12 24
Direct
0.084 0.084 0.000
0.120 0.674 0.996
0.174 0.380 0.246
0.326 0.880 0.504
0.380 0.174 0.754
0.416 0.584 0.750
0.584 0.416 0.250
0.620 0.826 0.254
0.674 0.120 0.004
0.826 0.620 0.746
0.880 0.326 0.496
0.916 0.916 0.500
0.056 0.376 0.400
0.116 0.880 0.046
0.120 0.884 0.454
0.124 0.556 0.150
0.137 0.204 0.146
0.204 0.137 0.854
0.296 0.637 0.896
0.363 0.704 0.604
0.376 0.056 0.600
0.380 0.384 0.296
0.384 0.380 0.704
0.444 0.876 0.350
0.556 0.124 0.850
0.616 0.620 0.204
0.620 0.616 0.796
0.624 0.944 0.100
0.637 0.296 0.104
0.704 0.363 0.396
0.796 0.863 0.354
0.863 0.796 0.646
0.876 0.444 0.650
0.880 0.116 0.954
0.884 0.120 0.546
0.944 0.624 0.900
```



[5]
Entry from the Materials Project database: a relaxed structure of LiGaH8N4 (PBE).

Properties
SG = P2_1/c, No. 14
formation energy from the elements = -0.514 eV per atom

POSCAR file:
```
LiGaH8N4
1.0
6.239 0.000 0.000
0.000 14.071 0.000
-5.978 0.000 6.948
Li Ga H N
4 4 32 16
Direct
0.165 0.187 0.021
0.165 0.313 0.521
0.835 0.687 0.479
0.835 0.813 0.979
0.321 0.673 0.965
0.321 0.827 0.465
0.679 0.173 0.535
0.679 0.327 0.035
0.008 0.691 0.305
0.008 0.809 0.805
0.072 0.540 0.723
0.072 0.960 0.223
0.141 0.091 0.758
0.141 0.409 0.258
0.257 0.125 0.485
0.257 0.375 0.985
0.292 0.655 0.513
0.292 0.845 0.013
0.340 0.619 0.226
0.340 0.881 0.726
0.477 0.045 0.288
0.477 0.455 0.788
0.481 0.177 0.691
0.481 0.323 0.191
0.519 0.677 0.809
0.519 0.823 0.309
0.523 0.545 0.212
0.523 0.955 0.712
0.660 0.119 0.274
0.660 0.381 0.774
0.708 0.155 0.987
0.708 0.345 0.487
0.743 0.625 0.015
0.743 0.875 0.515
0.859 0.591 0.742
0.859 0.909 0.242
0.928 0.040 0.777
0.928 0.460 0.277
0.992 0.191 0.195
0.992 0.309 0.695
0.010 0.606 0.732
0.010 0.894 0.232
0.146 0.709 0.448
0.146 0.791 0.948
0.379 0.185 0.548
0.379 0.315 0.048
0.491 0.617 0.214
0.491 0.883 0.714
0.509 0.117 0.286
0.509 0.383 0.786
0.621 0.685 0.952
0.621 0.815 0.452
0.854 0.209 0.052
0.854 0.291 0.552
0.990 0.106 0.768
0.990 0.394 0.268
```



[6]
Entry from the Materials Project database: a relaxed structure of Cs2TlAgCl6 (PBE).

Properties
SG = Fm-3m, No. 225
formation energy from the elements = -1.583 eV per atom

POSCAR file:
```
Cs2TlAgCl6
1.0
0.000 5.387 5.387
5.387 0.000 5.387
5.387 5.387 0.000
Cs Tl Ag Cl
2 1 1 6
Direct
0.250 0.250 0.250
0.750 0.750 0.750
0.000 0.000 0.000
0.500 0.500 0.500
0.248 0.248 0.752
0.248 0.752 0.248
0.248 0.752 0.752
0.752 0.248 0.248
0.752 0.248 0.752
0.752 0.752 0.248
```



[7]
Entry from the Materials Project database: a relaxed structure of Tb2BiO2 (PBE).

Properties
SG = I4/mmm, No. 139
formation energy from the elements = -2.963 eV per atom

POSCAR file:
```
Tb2BiO2
1.0
-1.956 1.956 6.816
1.956 -1.956 6.816
1.956 1.956 -6.816
Tb Bi O
2 1 2
Direct
0.168 0.168 0.000
0.832 0.832 0.000
0.500 0.500 0.000
0.250 0.750 0.500
0.750 0.250 0.500
```



[8]
Entry from the Materials Project database: a relaxed structure of MnTe2H20C4N4 (PBE).

Properties
SG = C2/c, No. 15
formation energy from the elements = -0.240 eV per atom

POSCAR file:
```
MnTe2H20C4N4
1.0
9.005 -3.274 0.000
9.005 3.274 0.000
-3.291 0.000 11.898
Mn Te H C N
2 4 40 8 8
Direct
0.000 0.000 0.000
0.000 0.000 0.500
0.198 0.673 0.793
0.327 0.802 0.707
0.673 0.198 0.293
0.802 0.327 0.207
0.012 0.649 0.291
0.046 0.840 0.171
0.075 0.286 0.943
0.130 0.441 0.371
0.132 0.287 0.604
0.144 0.541 0.970
0.144 0.638 0.536
0.160 0.954 0.329
0.195 0.476 0.109
0.282 0.564 0.438
0.286 0.075 0.443
0.287 0.132 0.104
0.289 0.646 0.124
0.351 0.988 0.209
0.354 0.711 0.376
0.362 0.856 0.964
0.436 0.718 0.062
0.441 0.130 0.871
0.459 0.856 0.530
0.476 0.195 0.609
0.524 0.805 0.391
0.541 0.144 0.470
0.559 0.870 0.129
0.564 0.282 0.938
0.638 0.144 0.036
0.646 0.289 0.624
0.649 0.012 0.791
0.711 0.354 0.876
0.713 0.868 0.896
0.714 0.925 0.557
0.718 0.436 0.562
0.805 0.524 0.891
0.840 0.046 0.671
0.856 0.362 0.464
0.856 0.459 0.030
0.868 0.713 0.396
0.870 0.559 0.629
0.925 0.714 0.057
0.954 0.160 0.829
0.988 0.351 0.709
0.030 0.614 0.375
0.098 0.610 0.057
0.386 0.970 0.125
0.390 0.902 0.443
0.610 0.098 0.557
0.614 0.030 0.875
0.902 0.390 0.943
0.970 0.386 0.625
0.126 0.669 0.457
0.127 0.745 0.100
0.255 0.873 0.400
0.331 0.874 0.043
0.669 0.126 0.957
0.745 0.127 0.600
0.873 0.255 0.900
0.874 0.331 0.543
```



[9]
Entry from the Materials Project database: a relaxed structure of Sr4SiN4 (PBE).

Properties
SG = Pnna, No. 52
formation energy from the elements = -0.910 eV per atom

POSCAR file:
```
Sr4SiN4
1.0
5.993 0.000 0.000
0.000 11.924 0.000
0.000 0.000 9.913
Sr Si N
16 4 16
Direct
0.119 0.123 0.104
0.119 0.377 0.396
0.147 0.250 0.750
0.250 0.000 0.432
0.250 0.500 0.068
0.353 0.750 0.750
0.381 0.623 0.396
0.381 0.877 0.104
0.619 0.123 0.896
0.619 0.377 0.604
0.647 0.250 0.250
0.750 0.000 0.568
0.750 0.500 0.932
0.853 0.750 0.250
0.881 0.623 0.604
0.881 0.877 0.896
0.250 0.000 0.749
0.250 0.500 0.751
0.750 0.000 0.251
0.750 0.500 0.249
0.034 0.068 0.852
0.034 0.432 0.648
0.105 0.604 0.849
0.105 0.896 0.651
0.395 0.104 0.651
0.395 0.396 0.849
0.466 0.568 0.648
0.466 0.932 0.852
0.534 0.068 0.148
0.534 0.432 0.352
0.605 0.604 0.151
0.605 0.896 0.349
0.895 0.104 0.349
0.895 0.396 0.151
0.966 0.568 0.352
0.966 0.932 0.148
```



[10]
Entry from the Materials Project database: a relaxed structure of NaPrTiO4 (PBE).

Properties
SG = P4/nmm, No. 129
formation energy from the elements = -3.328 eV per atom

POSCAR file:
```
NaPrTiO4
1.0
3.777 0.000 0.000
0.000 3.777 0.000
0.000 0.000 13.106
Na Pr Ti O
2 2 2 8
Direct
0.250 0.250 0.085
0.750 0.750 0.915
0.250 0.250 0.391
0.750 0.750 0.609
0.250 0.250 0.772
0.750 0.750 0.228
0.250 0.250 0.571
0.250 0.250 0.906
0.250 0.750 0.265
0.250 0.750 0.735
0.750 0.250 0.265
0.750 0.250 0.735
0.750 0.750 0.094
0.750 0.750 0.429
```



Number 1: total DFT energy (no corrections) -5.678 eV/atom. Number 2: total DFT energy (no corrections) -7.031 eV/atom. Number 3: total DFT energy (no corrections) -7.693 eV/atom. Number 4: total DFT energy (no corrections) -7.903 eV/atom. Number 5: total DFT energy (no corrections) -5.084 eV/atom. Number 6: total DFT energy (no corrections) -3.023 eV/atom. Number 7: total DFT energy (no corrections) -7.300 eV/atom. Number 8: total DFT energy (no corrections) -5.147 eV/atom. Number 9: total DFT energy (no corrections) -5.809 eV/atom. Number 10: total DFT energy (no corrections) -7.763 eV/atom.